Density functional theory data (PBE) for BaBiF7 after structural relaxation.

space group = P2_1/c, No. 14
V = 17.289 Å³ per atom
raw total energy = -165.91 eV/cell

Cell: 5.7958 10.2035 10.5313 Å, 90.00 92.06 90.00°
Last column: nearest neighbours and their distance in Å.
Positions (direct):
Ba1 0.1917 0.1692 0.0079  2 F 2.48
Ba2 0.1917 0.3308 0.5079  2 F 2.48
Ba3 0.8083 0.6692 0.4921  2 F 2.48
Ba4 0.8083 0.8308 0.9921  2 F 2.48
Bi1 0.3152 0.6092 0.1865  6 F 2.03-2.07
Bi2 0.3152 0.8908 0.6865  6 F 2.03-2.07
Bi3 0.6848 0.1092 0.3135  6 F 2.03-2.07
Bi4 0.6848 0.3908 0.8135  6 F 2.03-2.07
F1 0.0169 0.6975 0.2427  1 Bi 2.06
F2 0.0169 0.8025 0.7427  1 Bi 2.06
F3 0.0905 0.5356 0.6192  2 Ba 2.48
F4 0.0905 0.9644 0.1192  2 Ba 2.48
F5 0.1524 0.0588 0.6305  1 Bi 2.03
F6 0.1524 0.4412 0.1305  1 Bi 2.03
F7 0.2446 0.7025 0.0156  1 Bi 2.06
F8 0.2446 0.7975 0.5156  1 Bi 2.06
F9 0.3806 0.0510 0.3876  1 Bi 2.04
F10 0.3806 0.4490 0.8876  1 Bi 2.04
F11 0.3979 0.5409 0.3673  1 Bi 2.07
F12 0.3979 0.9591 0.8673  1 Bi 2.07
F13 0.4898 0.2312 0.7545  1 Bi 2.07
F14 0.4898 0.2688 0.2545  1 Bi 2.07
F15 0.5102 0.7312 0.7455  1 Bi 2.07
F16 0.5102 0.7688 0.2455  1 Bi 2.07
F17 0.6021 0.0409 0.1327  1 Bi 2.07
F18 0.6021 0.4591 0.6327  1 Bi 2.07
F19 0.6194 0.5510 0.1124  1 Bi 2.04
F20 0.6194 0.9490 0.6124  1 Bi 2.04
F21 0.7554 0.2025 0.4844  1 Bi 2.06
F22 0.7554 0.2975 0.9844  1 Bi 2.06
F23 0.8476 0.5588 0.8695  1 Bi 2.03
F24 0.8476 0.9412 0.3695  1 Bi 2.03
F25 0.9095 0.0356 0.8808  2 Ba 2.48
F26 0.9095 0.4644 0.3808  2 Ba 2.48
F27 0.9831 0.1975 0.2573  1 Bi 2.06
F28 0.9831 0.3025 0.7573  1 Bi 2.06

Density functional theory data (PBE) for LiTmO3 after structural relaxation.

space group = Pm-3m, No. 221
V = 9.658 Å³ per atom
raw total energy = -30.29 eV/cell

Cell: 3.6415 3.6415 3.6415 Å, 90.00 90.00 90.00°
Last column: nearest neighbours and their distance in Å.
Positions (direct):
Li1 0.0000 0.0000 0.0000  6 O 1.82
Tm1 0.5000 0.5000 0.5000  12 O 2.57
O1 0.0000 0.0000 0.5000  2 Li 1.82
O2 0.0000 0.5000 0.0000  2 Li 1.82
O3 0.5000 0.0000 0.0000  2 Li 1.82

Density functional theory data (PBE) for SiO2 after structural relaxation.

space group = Fd-3c, No. 228
V = 18.506 Å³ per atom
raw total energy = -1080.43 eV/cell

Cell: 15.5621 15.5621 15.5621 Å, 60.00 60.00 60.00°
Last column: nearest neighbours and their distance in Å.
Positions (direct):
Si1 0.0053 0.2998 0.3645  4 O 1.63-1.72
Si2 0.0053 0.3645 0.8304  4 O 1.63-1.72
Si3 0.0053 0.8304 0.2998  4 O 1.63-1.72
Si4 0.1355 0.2002 0.4947  4 O 1.63-1.72
Si5 0.1355 0.4947 0.6696  4 O 1.63-1.72
Si6 0.1355 0.6696 0.2002  4 O 1.63-1.72
Si7 0.1696 0.6355 0.7002  4 O 1.63-1.72
Si8 0.1696 0.7002 0.9947  4 O 1.63-1.72
Si9 0.1696 0.9947 0.6355  4 O 1.63-1.72
Si10 0.2002 0.1355 0.6696  4 O 1.63-1.72
Si11 0.2002 0.4947 0.1355  4 O 1.63-1.72
Si12 0.2002 0.6696 0.4947  4 O 1.63-1.72
Si13 0.2998 0.0053 0.8304  4 O 1.63-1.72
Si14 0.2998 0.3645 0.0053  4 O 1.63-1.72
Si15 0.2998 0.8304 0.3645  4 O 1.63-1.72
Si16 0.3304 0.5053 0.7998  4 O 1.63-1.72
Si17 0.3304 0.7998 0.8645  4 O 1.63-1.72
Si18 0.3304 0.8645 0.5053  4 O 1.63-1.72
Si19 0.3645 0.0053 0.2998  4 O 1.63-1.72
Si20 0.3645 0.2998 0.8304  4 O 1.63-1.72
Si21 0.3645 0.8304 0.0053  4 O 1.63-1.72
Si22 0.4947 0.1355 0.2002  4 O 1.63-1.72
Si23 0.4947 0.2002 0.6696  4 O 1.63-1.72
Si24 0.4947 0.6696 0.1355  4 O 1.63-1.72
Si25 0.5053 0.3304 0.8645  4 O 1.63-1.72
Si26 0.5053 0.7998 0.3304  4 O 1.63-1.72
Si27 0.5053 0.8645 0.7998  4 O 1.63-1.72
Si28 0.6355 0.1696 0.9947  4 O 1.63-1.72
Si29 0.6355 0.7002 0.1696  4 O 1.63-1.72
Si30 0.6355 0.9947 0.7002  4 O 1.63-1.72
Si31 0.6696 0.1355 0.4947  4 O 1.63-1.72
Si32 0.6696 0.2002 0.1355  4 O 1.63-1.72
Si33 0.6696 0.4947 0.2002  4 O 1.63-1.72
Si34 0.7002 0.1696 0.6355  4 O 1.63-1.72
Si35 0.7002 0.6355 0.9947  4 O 1.63-1.72
Si36 0.7002 0.9947 0.1696  4 O 1.63-1.72
Si37 0.7998 0.3304 0.5053  4 O 1.63-1.72
Si38 0.7998 0.5053 0.8645  4 O 1.63-1.72
Si39 0.7998 0.8645 0.3304  4 O 1.63-1.72
Si40 0.8304 0.0053 0.3645  4 O 1.63-1.72
Si41 0.8304 0.2998 0.0053  4 O 1.63-1.72
Si42 0.8304 0.3645 0.2998  4 O 1.63-1.72
Si43 0.8645 0.3304 0.7998  4 O 1.63-1.72
Si44 0.8645 0.5053 0.3304  4 O 1.63-1.72
Si45 0.8645 0.7998 0.5053  4 O 1.63-1.72
Si46 0.9947 0.1696 0.7002  4 O 1.63-1.72
Si47 0.9947 0.6355 0.1696  4 O 1.63-1.72
Si48 0.9947 0.7002 0.6355  4 O 1.63-1.72
O1 0.0198 0.2435 0.5766  2 Si 1.63-1.64
O2 0.0198 0.5766 0.6601  2 Si 1.63-1.64
O3 0.0198 0.6601 0.2435  2 Si 1.63-1.64
O4 0.0401 0.0401 0.7099  2 Si 1.72
O5 0.0401 0.7099 0.0401  2 Si 1.72
O6 0.0401 0.7099 0.7099  2 Si 1.72
O7 0.0766 0.1601 0.7435  2 Si 1.63-1.64
O8 0.0766 0.5198 0.1601  2 Si 1.63-1.64
O9 0.0766 0.7435 0.5198  2 Si 1.63-1.64
O10 0.1236 0.2500 0.3764  2 Si 1.67
O11 0.1236 0.3764 0.7500  2 Si 1.67
O12 0.1236 0.7500 0.2500  2 Si 1.67
O13 0.1601 0.0766 0.5198  2 Si 1.63-1.64
O14 0.1601 0.5198 0.7435  2 Si 1.63-1.64
O15 0.1601 0.7435 0.0766  2 Si 1.63-1.64
O16 0.2099 0.2099 0.5401  2 Si 1.72
O17 0.2099 0.5401 0.2099  2 Si 1.72
O18 0.2099 0.5401 0.5401  2 Si 1.72
O19 0.2435 0.0198 0.6601  2 Si 1.63-1.64
O20 0.2435 0.5766 0.0198  2 Si 1.63-1.64
O21 0.2435 0.6601 0.5766  2 Si 1.63-1.64
O22 0.2500 0.1236 0.7500  2 Si 1.67
O23 0.2500 0.3764 0.1236  2 Si 1.67
O24 0.2500 0.6236 0.7500  2 Si 1.67
O25 0.2500 0.7500 0.3764  2 Si 1.67
O26 0.2500 0.7500 0.8764  2 Si 1.67
O27 0.2500 0.8764 0.6236  2 Si 1.67
O28 0.2565 0.4802 0.9234  2 Si 1.63-1.64
O29 0.2565 0.8399 0.4802  2 Si 1.63-1.64
O30 0.2565 0.9234 0.8399  2 Si 1.63-1.64
O31 0.2901 0.2901 0.9599  2 Si 1.72
O32 0.2901 0.9599 0.2901  2 Si 1.72
O33 0.2901 0.9599 0.9599  2 Si 1.72
O34 0.3399 0.4234 0.7565  2 Si 1.63-1.64
O35 0.3399 0.7565 0.9802  2 Si 1.63-1.64
O36 0.3399 0.9802 0.4234  2 Si 1.63-1.64
O37 0.3764 0.1236 0.2500  2 Si 1.67
O38 0.3764 0.2500 0.7500  2 Si 1.67
O39 0.3764 0.7500 0.1236  2 Si 1.67
O40 0.4234 0.3399 0.9802  2 Si 1.63-1.64
O41 0.4234 0.7565 0.3399  2 Si 1.63-1.64
O42 0.4234 0.9802 0.7565  2 Si 1.63-1.64
O43 0.4599 0.4599 0.7901  2 Si 1.72
O44 0.4599 0.7901 0.4599  2 Si 1.72
O45 0.4599 0.7901 0.7901  2 Si 1.72
O46 0.4802 0.2565 0.8399  2 Si 1.63-1.64
O47 0.4802 0.8399 0.9234  2 Si 1.63-1.64
O48 0.4802 0.9234 0.2565  2 Si 1.63-1.64
O49 0.5198 0.0766 0.7435  2 Si 1.63-1.64
O50 0.5198 0.1601 0.0766  2 Si 1.63-1.64
O51 0.5198 0.7435 0.1601  2 Si 1.63-1.64
O52 0.5401 0.2099 0.2099  2 Si 1.72
O53 0.5401 0.2099 0.5401  2 Si 1.72
O54 0.5401 0.5401 0.2099  2 Si 1.72
O55 0.5766 0.0198 0.2435  2 Si 1.63-1.64
O56 0.5766 0.2435 0.6601  2 Si 1.63-1.64
O57 0.5766 0.6601 0.0198  2 Si 1.63-1.64
O58 0.6236 0.2500 0.8764  2 Si 1.67
O59 0.6236 0.7500 0.2500  2 Si 1.67
O60 0.6236 0.8764 0.7500  2 Si 1.67
O61 0.6601 0.0198 0.5766  2 Si 1.63-1.64
O62 0.6601 0.2435 0.0198  2 Si 1.63-1.64
O63 0.6601 0.5766 0.2435  2 Si 1.63-1.64
O64 0.7099 0.0401 0.0401  2 Si 1.72
O65 0.7099 0.0401 0.7099  2 Si 1.72
O66 0.7099 0.7099 0.0401  2 Si 1.72
O67 0.7435 0.0766 0.1601  2 Si 1.63-1.64
O68 0.7435 0.1601 0.5198  2 Si 1.63-1.64
O69 0.7435 0.5198 0.0766  2 Si 1.63-1.64
O70 0.7500 0.1236 0.3764  2 Si 1.67
O71 0.7500 0.2500 0.1236  2 Si 1.67
O72 0.7500 0.2500 0.6236  2 Si 1.67
O73 0.7500 0.3764 0.2500  2 Si 1.67
O74 0.7500 0.6236 0.8764  2 Si 1.67
O75 0.7500 0.8764 0.2500  2 Si 1.67
O76 0.7565 0.3399 0.4234  2 Si 1.63-1.64
O77 0.7565 0.4234 0.9802  2 Si 1.63-1.64
O78 0.7565 0.9802 0.3399  2 Si 1.63-1.64
O79 0.7901 0.4599 0.4599  2 Si 1.72
O80 0.7901 0.4599 0.7901  2 Si 1.72
O81 0.7901 0.7901 0.4599  2 Si 1.72
O82 0.8399 0.2565 0.9234  2 Si 1.63-1.64
O83 0.8399 0.4802 0.2565  2 Si 1.63-1.64
O84 0.8399 0.9234 0.4802  2 Si 1.63-1.64
O85 0.8764 0.2500 0.7500  2 Si 1.67
O86 0.8764 0.6236 0.2500  2 Si 1.67
O87 0.8764 0.7500 0.6236  2 Si 1.67
O88 0.9234 0.2565 0.4802  2 Si 1.63-1.64
O89 0.9234 0.4802 0.8399  2 Si 1.63-1.64
O90 0.9234 0.8399 0.2565  2 Si 1.63-1.64
O91 0.9599 0.2901 0.2901  2 Si 1.72
O92 0.9599 0.2901 0.9599  2 Si 1.72
O93 0.9599 0.9599 0.2901  2 Si 1.72
O94 0.9802 0.3399 0.7565  2 Si 1.63-1.64
O95 0.9802 0.4234 0.3399  2 Si 1.63-1.64
O96 0.9802 0.7565 0.4234  2 Si 1.63-1.64

Density functional theory data (PBE) for Tb3CrSe6 after structural relaxation.

space group = Pnnm, No. 58
V = 23.257 Å³ per atom
raw total energy = -239.53 eV/cell

Cell: 13.9973 16.7993 3.9563 Å, 90.00 90.00 90.00°
Last column: nearest neighbours and their distance in Å.
Positions (direct):
Tb1 0.0516 0.2218 0.0000  8 Se 2.92-3.06
Tb2 0.1800 0.6482 0.0000  7 Se 2.86-3.00
Tb3 0.2423 0.9036 0.5000  7 Se 2.91-3.16
Tb4 0.2577 0.4036 0.0000  7 Se 2.91-3.16
Tb5 0.3200 0.1482 0.5000  7 Se 2.86-3.00
Tb6 0.4484 0.7218 0.5000  8 Se 2.92-3.06
Tb7 0.5516 0.2782 0.5000  8 Se 2.92-3.06
Tb8 0.6800 0.8518 0.5000  7 Se 2.86-3.00
Tb9 0.7423 0.5964 0.0000  7 Se 2.91-3.16
Tb10 0.7577 0.0964 0.5000  7 Se 2.91-3.16
Tb11 0.8200 0.3518 0.0000  7 Se 2.86-3.00
Tb12 0.9484 0.7782 0.0000  8 Se 2.92-3.06
Cr1 0.0000 0.0000 0.5000  6 Se 2.49-2.62
Cr2 0.0000 0.5000 0.5000  6 Se 2.55-2.59
Cr3 0.5000 0.0000 0.0000  6 Se 2.55-2.59
Cr4 0.5000 0.5000 0.0000  6 Se 2.49-2.62
Se1 0.0232 0.4022 0.0000  2 Cr 2.59
Se2 0.0807 0.9232 0.0000  2 Cr 2.62
Se3 0.1032 0.7555 0.5000  5 Tb 2.88-3.16
Se4 0.1213 0.1080 0.5000  1 Cr 2.49
Se5 0.1807 0.5205 0.5000  1 Cr 2.55
Se6 0.1897 0.2899 0.5000  5 Tb 2.91-3.00, 1 Se 3.20
Se7 0.3103 0.7899 0.0000  5 Tb 2.91-3.00, 1 Se 3.20
Se8 0.3193 0.0205 0.0000  1 Cr 2.55
Se9 0.3787 0.6080 0.0000  1 Cr 2.49
Se10 0.3968 0.2555 0.0000  5 Tb 2.88-3.16
Se11 0.4193 0.4232 0.5000  2 Cr 2.62
Se12 0.4768 0.9022 0.5000  2 Cr 2.59
Se13 0.5232 0.0978 0.5000  2 Cr 2.59
Se14 0.5807 0.5768 0.5000  2 Cr 2.62
Se15 0.6032 0.7445 0.0000  5 Tb 2.88-3.16
Se16 0.6213 0.3920 0.0000  1 Cr 2.49
Se17 0.6807 0.9795 0.0000  1 Cr 2.55
Se18 0.6897 0.2101 0.0000  5 Tb 2.91-3.00, 1 Se 3.20
Se19 0.8103 0.7101 0.5000  5 Tb 2.91-3.00, 1 Se 3.20
Se20 0.8193 0.4795 0.5000  1 Cr 2.55
Se21 0.8787 0.8920 0.5000  1 Cr 2.49
Se22 0.8968 0.2445 0.5000  5 Tb 2.88-3.16
Se23 0.9193 0.0768 0.0000  2 Cr 2.62
Se24 0.9768 0.5978 0.0000  2 Cr 2.59

Density functional theory data (PBE) for ThAlNi after structural relaxation.

space group = P-62m, No. 189
V = 19.454 Å³ per atom
raw total energy = -56.29 eV/cell

Cell: 7.0515 7.0515 4.0659 Å, 90.00 90.00 120.00°
Last column: nearest neighbours and their distance in Å.
Positions (direct):
Th1 0.0000 0.4233 0.0000  5 Ni 2.93-2.98, 2 Al 3.18
Th2 0.4233 0.0000 0.0000  5 Ni 2.93-2.98, 2 Al 3.18
Th3 0.5767 0.5767 0.0000  5 Ni 2.93-2.98, 2 Al 3.18
Al1 0.0000 0.7707 0.5000  4 Ni 2.60-2.79, 2 Al 2.80
Al2 0.2293 0.2293 0.5000  4 Ni 2.60-2.79, 2 Al 2.80
Al3 0.7707 0.0000 0.5000  4 Ni 2.60-2.79, 2 Al 2.80
Ni1 0.0000 0.0000 0.0000  6 Al 2.60
Ni2 0.3333 0.6667 0.5000  3 Al 2.79, 6 Th 2.93
Ni3 0.6667 0.3333 0.5000  3 Al 2.79, 6 Th 2.93

Density functional theory data (PBE) for Tb2RuRh after structural relaxation.

space group = Fm-3m, No. 225
V = 20.055 Å³ per atom
raw total energy = -28.26 eV/cell

Cell: 4.8410 4.8410 4.8410 Å, 60.00 60.00 60.00°
Last column: nearest neighbours and their distance in Å.
Positions (direct):
Tb1 0.2500 0.2500 0.2500  4 Rh 2.96, 4 Ru 2.96
Tb2 0.7500 0.7500 0.7500  4 Rh 2.96, 4 Ru 2.96
Ru1 0.0000 0.0000 0.0000  8 Tb 2.96
Rh1 0.5000 0.5000 0.5000  8 Tb 2.96

Density functional theory data (PBE) for Tm2GaCo2 after structural relaxation.

space group = Immm, No. 71
V = 17.755 Å³ per atom
raw total energy = -28.47 eV/cell

Cell: 5.3075 5.3075 5.3075 Å, 135.76 118.74 78.62°
Last column: nearest neighbours and their distance in Å.
Positions (direct):
Tm1 0.2058 0.2058 0.0000  6 Co 2.86-2.87, 4 Ga 3.14-3.19
Tm2 0.7942 0.7942 0.0000  6 Co 2.86-2.87, 4 Ga 3.14-3.19
Ga1 0.5000 0.0000 0.5000  4 Co 2.52
Co1 0.2172 0.5000 0.7172  1 Co 2.35, 2 Ga 2.52
Co2 0.7828 0.5000 0.2828  1 Co 2.35, 2 Ga 2.52

Density functional theory data (PBE) for RbMg6B after structural relaxation.

space group = Amm2, No. 38
V = 26.663 Å³ per atom
raw total energy = -13.76 eV/cell

Cell: 4.4667 8.0739 8.0739 Å, 47.10 90.00 90.00°
Last column: nearest neighbours and their distance in Å.
Positions (direct):
Rb1 0.0000 0.0000 0.0000  6 Mg 3.49-3.50
Mg1 0.0000 0.5132 0.9576  1 B 2.37
Mg2 0.0000 0.9576 0.5132  1 B 2.37
Mg3 0.5000 0.1525 0.5838  2 B 2.66, 1 Mg 2.78
Mg4 0.5000 0.1819 0.1819  6 Mg 2.97-3.09, 2 B 3.24
Mg5 0.5000 0.5838 0.1525  2 B 2.66, 1 Mg 2.78
Mg6 0.5000 0.6224 0.6224  6 Mg 3.14-3.34
B1 0.0000 0.3404 0.3404  2 Mg 2.37

Density functional theory data (PBE) for Pr3AgGeS7 after structural relaxation.

space group = P6_3, No. 173
V = 22.858 Å³ per atom
raw total energy = -135.55 eV/cell

Cell: 10.3740 10.3740 5.8862 Å, 90.00 90.00 120.00°
Last column: nearest neighbours and their distance in Å.
Positions (direct):
Pr1 0.1299 0.3598 0.0000  8 S 2.90-3.17
Pr2 0.2298 0.8701 0.0000  8 S 2.90-3.17
Pr3 0.3598 0.2298 0.5000  8 S 2.90-3.17
Pr4 0.6402 0.7702 0.0000  8 S 2.90-3.17
Pr5 0.7702 0.1299 0.5000  8 S 2.90-3.17
Pr6 0.8701 0.6402 0.5000  8 S 2.90-3.17
Ag1 0.0000 0.0000 0.0602  3 S 2.46
Ag2 0.0000 0.0000 0.5602  3 S 2.46
Ge1 0.3333 0.6667 0.4175  4 S 2.21-2.25
Ge2 0.6667 0.3333 0.9175  4 S 2.21-2.25
S1 0.0982 0.2696 0.5203  1 Ag 2.46
S2 0.1067 0.5840 0.2634  1 Ge 2.25
S3 0.1715 0.9018 0.5203  1 Ag 2.46
S4 0.2696 0.1715 0.0203  1 Ag 2.46
S5 0.3333 0.6667 0.7929  1 Ge 2.21
S6 0.4160 0.5227 0.2634  1 Ge 2.25
S7 0.4773 0.8933 0.2634  1 Ge 2.25
S8 0.5227 0.1067 0.7634  1 Ge 2.25
S9 0.5840 0.4773 0.7634  1 Ge 2.25
S10 0.6667 0.3333 0.2929  1 Ge 2.21
S11 0.7304 0.8285 0.5203  1 Ag 2.46
S12 0.8285 0.0982 0.0203  1 Ag 2.46
S13 0.8933 0.4160 0.7634  1 Ge 2.25
S14 0.9018 0.7304 0.0203  1 Ag 2.46

Density functional theory data (PBE) for Mg3Zn after structural relaxation.

space group = Fm-3m, No. 225
V = 20.242 Å³ per atom
raw total energy = -6.02 eV/cell

Cell: 4.8560 4.8560 4.8560 Å, 60.00 60.00 60.00°
Last column: nearest neighbours and their distance in Å.
Positions (direct):
Mg1 0.0000 0.0000 0.0000  8 Mg 2.97
Mg2 0.2500 0.2500 0.2500  4 Zn 2.97, 4 Mg 2.97
Mg3 0.7500 0.7500 0.7500  4 Zn 2.97, 4 Mg 2.97
Zn1 0.5000 0.5000 0.5000  8 Mg 2.97